*i*
Li9Mn2Co5O16 after structural relaxation. Source: Materials Project, functional PBE+U.

Properties
ρ	4.161	g/cm3

abc: 4.9806 5.9990 10.1800
angles: 104.58 100.41 91.97
Closest atoms and distances in Å follow each position.
Fractional positions:
Li1 0.2486 0.8799 0.7539  6 O 2.05-2.19
Li2 0.2482 0.3745 0.2459  6 O 2.11-2.24
Li3 0.7476 0.6200 0.7530  6 O 2.08-2.22
Li4 0.7451 0.1233 0.2472  6 O 2.05-2.18
Li5 0.2474 0.3694 0.7515  5 O 2.00-2.18
Li6 0.2554 0.8676 0.2467  6 O 2.07-2.30
Li7 0.7489 0.1354 0.7537  5 O 2.06-2.21
Li8 0.7579 0.6309 0.2472  5 O 2.01-2.24
Li9 0.0017 0.4962 0.9990  6 O 2.07-2.22
Mn1 0.0001 0.0040 0.0001  6 O 1.92-2.00
Mn2 0.4992 0.7493 0.4996  4 O 1.95-1.98
Co1 0.9993 0.4973 0.4999  6 O 1.93-2.10
Co2 0.5030 0.7371 0.9988  5 O 1.84-2.03
Co3 0.5005 0.2506 0.5002  4 O 1.91-1.94
Co4 0.0009 0.0024 0.5001  6 O 1.93-2.12
Co5 0.4970 0.2558 0.0005  4 O 1.88-1.95
O1 0.1330 0.1786 0.8868  1 Mn 1.92, 1 Co 1.94, 4 Li 2.10-2.15
O2 0.1343 0.6970 0.3826  1 Mn 1.95, 2 Co 2.07-2.12, 2 Li 2.07-2.08
O3 0.6420 0.9153 0.8838  1 Mn 1.93, 1 Co 1.97, 2 Li 2.08-2.13
O4 0.6387 0.4202 0.3837  2 Co 1.93-1.94, 2 Li 2.11-2.15
O5 0.1472 0.7214 0.8964  1 Co 1.87, 1 Mn 2.00, 2 Li 2.05-2.09
O6 0.1421 0.2004 0.3878  3 Co 1.91-2.08, 1 Li 2.11
O7 0.6045 0.4324 0.8870  2 Co 1.88-2.03, 2 Li 2.00-2.07
O8 0.6390 0.9302 0.3847  1 Co 1.93, 1 Mn 1.98, 3 Li 2.12-2.15
O9 0.3606 0.5718 0.6162  1 Co 1.94, 1 Mn 1.98, 1 Li 2.13
O10 0.3599 0.0768 0.1134  1 Mn 1.92, 1 Co 1.95, 2 Li 2.11
O11 0.8597 0.3018 0.6154  3 Co 1.92-2.10, 2 Li 2.06-2.12
O12 0.8555 0.8225 0.1113  1 Co 1.89, 1 Mn 1.96, 1 Li 2.11
O13 0.3621 0.0792 0.6159  2 Co 1.93-1.94, 2 Li 2.10-2.13
O14 0.3929 0.5814 0.1174  1 Co 1.84, 1 Li 2.01
O15 0.8654 0.8001 0.6143  1 Mn 1.95, 2 Co 2.05-2.10, 2 Li 2.12-2.13
O16 0.8624 0.2775 0.1058  1 Co 1.92, 1 Mn 1.94, 3 Li 2.05-2.14

*ii*
Li9Mn2Co5O16 after structural relaxation. Source: Materials Project, functional PBE+U.

Properties
ρ	4.108	g/cm3

abc: 3.0259 9.8224 10.1149
angles: 76.88 88.42 86.70
Closest atoms and distances in Å follow each position.
Fractional positions:
Li1 0.0021 0.7498 0.8743  5 O 2.01-2.18
Li2 0.4996 0.4993 0.5017  6 O 2.07-2.20
Li3 0.9973 0.2497 0.1267  6 O 2.02-2.19
Li4 0.4996 0.9989 0.7426  6 O 2.11-2.32
Li5 0.4995 0.5011 0.9978  6 O 2.06-2.23
Li6 0.9958 0.2503 0.6218  6 O 2.06-2.29
Li7 0.4991 0.0016 0.2571  6 O 2.16-2.23
Li8 0.0048 0.7492 0.3774  6 O 2.07-2.20
Li9 0.0000 0.9993 0.5003  6 O 2.01-2.23
Mn1 0.0058 0.9985 0.9993  4 O 1.96-1.99
Mn2 0.9979 0.4988 0.2515  4 O 1.93-1.99
Co1 0.5005 0.7606 0.6218  3 O 1.75-1.93
Co2 0.5023 0.2521 0.8726  5 O 1.91-2.12
Co3 0.5010 0.7494 0.1260  4 O 1.92-1.95
Co4 0.0008 0.5036 0.7483  5 O 1.90-2.10
Co5 0.4926 0.2383 0.3795  3 O 1.74-1.94
O1 0.4734 0.8724 0.9495  1 Co 1.92, 1 Mn 1.96
O2 0.9688 0.6255 0.5735  2 Co 1.90-2.01, 1 Li 2.08
O3 0.4733 0.3692 0.2043  1 Co 1.94, 1 Mn 1.99, 1 Li 2.15
O4 0.0201 0.1255 0.8199  1 Mn 1.96, 2 Co 2.08-2.12, 2 Li 2.10-2.11
O5 0.9689 0.6264 0.0723  1 Co 1.95, 1 Mn 1.96, 3 Li 2.10-2.19
O6 0.5115 0.3759 0.6972  2 Co 1.91-2.06, 2 Li 2.07-2.10
O7 0.9738 0.1338 0.3186  2 Co 1.90-2.10, 2 Li 2.01-2.02
O8 0.4977 0.8600 0.4552  1 Co 1.75
O9 0.4840 0.6298 0.7956  3 Co 1.93-2.10, 2 Li 2.08-2.15
O10 0.0243 0.3726 0.4280  1 Mn 1.93, 1 Co 2.01, 1 Li 2.06
O11 0.5355 0.1280 0.0509  1 Co 1.94, 1 Mn 1.99, 1 Li 2.15
O12 0.0198 0.8648 0.6823  2 Co 1.90-2.10, 2 Li 2.01
O13 0.9871 0.3800 0.9270  3 Co 1.94-2.15, 2 Li 2.06-2.13
O14 0.5046 0.1385 0.5458  1 Co 1.74
O15 0.0309 0.8717 0.1792  1 Co 1.95, 1 Mn 1.96, 1 Li 2.09
O16 0.5273 0.6252 0.3022  1 Co 1.92, 1 Mn 1.97, 1 Li 2.12

Stability order, top to bottom: *i*, *ii*

*i*
Li9Mn2Co5O16 after structural relaxation. Source: Materials Project, functional PBE+U.

Properties
ρ	4.138	g/cm3

abc: 2.9471 5.0965 19.3787
angles: 94.17 91.18 91.51
Closest atoms and distances in Å follow each position.
Fractional positions:
Li1 0.9948 0.3841 0.1264  6 O 2.07-2.18
Li2 0.4914 0.6175 0.3855  4 O 2.08-2.23
Li3 0.0116 0.8811 0.6191  6 O 2.00-2.24
Li4 0.5011 0.1200 0.8717  6 O 2.09-2.23
Li5 0.5036 0.8686 0.1251  5 O 2.06-2.21
Li6 0.9908 0.1187 0.3816  5 O 1.99-2.15
Li7 0.5009 0.3876 0.6202  6 O 2.14-2.26
Li8 0.0011 0.6155 0.8721  6 O 2.10-2.20
Li9 0.0002 0.5000 0.5007  6 O 2.04-2.16
Mn1 0.9998 0.9989 0.9998  4 O 1.96-1.97
Mn2 0.4981 0.2504 0.2523  6 O 1.93-1.97
Co1 0.5015 0.7514 0.7471  6 O 1.95-2.10
Co2 0.4989 0.4981 0.9996  6 O 1.95-2.11
Co3 0.9980 0.7503 0.2527  6 O 2.01-2.13
Co4 0.5013 0.0005 0.5000  6 O 1.79-2.00
Co5 0.0019 0.2511 0.7473  6 O 1.93-2.10
O1 0.4551 0.2028 0.0589  1 Co 1.96, 1 Mn 1.97, 2 Li 2.09-2.18
O2 0.0113 0.4084 0.3086  2 Mn 1.97, 1 Co 2.12, 1 Li 2.12
O3 0.5004 0.7318 0.5545  1 Co 1.79
O4 0.9867 0.9250 0.8055  3 Co 1.96-2.09, 3 Li 2.11-2.16
O5 0.0054 0.6990 0.0588  1 Mn 1.97, 3 Li 2.06-2.14, 2 Co 2.07-2.11
O6 0.5012 0.9491 0.3067  1 Mn 1.93, 2 Co 2.01-2.06, 1 Li 2.15
O7 0.0125 0.1694 0.5542  2 Co 1.96-1.98, 3 Li 2.00-2.14
O8 0.4836 0.4272 0.8057  3 Co 1.95-2.10, 3 Li 2.09-2.14
O9 0.4968 0.5517 0.1958  1 Mn 1.95, 2 Co 2.03-2.09, 2 Li 2.10-2.16
O10 0.9918 0.8281 0.4446  2 Co 1.98-2.00, 4 Li 1.99-2.15
O11 0.5189 0.0791 0.6910  3 Co 1.93-2.07
O12 0.9909 0.3003 0.9425  1 Mn 1.96, 2 Co 2.04-2.08, 2 Li 2.11-2.18
O13 0.9838 0.0932 0.1959  2 Mn 1.97, 2 Li 2.07-2.19, 1 Co 2.13
O14 0.5023 0.2713 0.4453  1 Co 1.80
O15 0.0210 0.5764 0.6891  3 Co 1.95-2.10, 3 Li 2.13-2.17
O16 0.5433 0.7937 0.9415  1 Co 1.95, 1 Mn 1.97, 1 Li 2.10

*ii*
Li9Mn2Co5O16 after structural relaxation. Source: Materials Project, functional PBE+U.

Properties
ρ	4.103	g/cm3

abc: 2.9083 9.9064 10.3018
angles: 80.50 88.85 88.79
Closest atoms and distances in Å follow each position.
Fractional positions:
Li1 0.0030 0.2451 0.1339  4 O 1.98-2.17
Li2 0.5136 0.7607 0.1303  5 O 2.05-2.24
Li3 0.4929 0.2292 0.3892  5 O 2.04-2.25
Li4 0.0143 0.7565 0.3753  5 O 2.01-2.23
Li5 0.9857 0.2435 0.6247  5 O 2.01-2.23
Li6 0.5071 0.7708 0.6108  5 O 2.04-2.25
Li7 0.4864 0.2393 0.8697  5 O 2.05-2.24
Li8 0.9970 0.7549 0.8661  4 O 1.98-2.17
Li9 0.0000 0.0000 0.5000  6 O 2.09-2.16
Mn1 0.0000 0.0000 0.0000  6 O 1.95-1.97
Mn2 0.5000 0.5000 0.0000  6 O 1.95-1.96
Co1 0.4988 0.9943 0.2707  3 O 1.80-1.99
Co2 0.9910 0.4990 0.2533  6 O 1.93-2.16
Co3 0.5000 0.5000 0.5000  6 O 1.95-2.11
Co4 0.5012 0.0057 0.7293  3 O 1.80-1.99
Co5 0.0090 0.5010 0.7467  6 O 1.93-2.16
O1 0.4918 0.1110 0.0540  2 Mn 1.95-1.97, 2 Li 2.10-2.17
O2 0.9914 0.6102 0.0547  2 Mn 1.95-1.96, 1 Co 2.16
O3 0.9917 0.1194 0.3043  2 Co 1.97-1.99, 4 Li 1.98-2.16
O4 0.5133 0.6156 0.3092  3 Co 1.93-2.11, 1 Li 2.14
O5 0.4955 0.1213 0.5753  1 Co 1.80, 1 Li 2.01
O6 0.0192 0.6137 0.5634  3 Co 1.95-2.08
O7 0.9962 0.1082 0.8242  1 Mn 1.95, 2 Li 2.05-2.06, 2 Co 2.09-2.12
O8 0.5203 0.6091 0.8247  1 Mn 1.95, 2 Co 2.00-2.10, 2 Li 2.12-2.16
O9 0.4797 0.3909 0.1753  1 Mn 1.95, 2 Co 2.00-2.10, 2 Li 2.12-2.16
O10 0.0038 0.8918 0.1758  1 Mn 1.95, 2 Li 2.05-2.06, 2 Co 2.09-2.12
O11 0.9808 0.3863 0.4366  3 Co 1.95-2.08
O12 0.5045 0.8787 0.4247  1 Co 1.80, 1 Li 2.01
O13 0.4867 0.3844 0.6908  3 Co 1.93-2.11, 1 Li 2.14
O14 0.0083 0.8806 0.6957  2 Co 1.97-1.99, 4 Li 1.98-2.16
O15 0.0086 0.3898 0.9453  2 Mn 1.95-1.96, 1 Co 2.16
O16 0.5082 0.8890 0.9460  2 Mn 1.95-1.97, 2 Li 2.10-2.17

*iii*
Li9Mn2Co5O16 after structural relaxation. Source: Materials Project, functional PBE+U.

Properties
ρ	4.079	g/cm3

abc: 2.8439 39.3558 2.9952
angles: 87.91 118.34 87.93
Closest atoms and distances in Å follow each position.
Fractional positions:
Li1 0.2462 0.0635 0.5560  6 O 2.15-2.17
Li2 0.7538 0.1865 0.6940  6 O 2.15-2.17
Li3 0.2457 0.3144 0.8057  6 O 2.13-2.20
Li4 0.7481 0.4377 0.9339  6 O 2.07-2.23
Li5 0.2403 0.5632 0.0438  5 O 2.04-2.15
Li6 0.7597 0.6868 0.2062  5 O 2.04-2.15
Li7 0.2519 0.8123 0.3161  6 O 2.07-2.23
Li8 0.7543 0.9356 0.4443  6 O 2.13-2.20
Li9 0.5000 0.6250 0.6250  6 O 2.06-2.22
Mn1 0.0004 0.9999 0.0007  4 O 1.95-1.96
Mn2 0.9996 0.2501 0.2493  4 O 1.95-1.96
Co1 0.5000 0.1250 0.1250  4 O 1.93
Co2 0.4980 0.3752 0.3713  4 O 1.92-1.93
Co3 0.9968 0.4993 0.4929  6 O 1.99-2.16
Co4 0.0032 0.7507 0.7571  6 O 1.99-2.16
Co5 0.5020 0.8748 0.8787  4 O 1.92-1.93
O1 0.6031 0.0293 0.2355  2 Mn 1.96, 3 Li 2.16-2.17
O2 0.1106 0.1527 0.3739  2 Co 1.93, 2 Li 2.15
O3 0.6039 0.2793 0.4870  2 Mn 1.95, 2 Li 2.19
O4 0.1123 0.4024 0.6271  2 Co 1.92
O5 0.6373 0.5267 0.8012  3 Co 1.99-2.06, 2 Li 2.15
O6 0.1230 0.6570 0.9030  6 Li 2.04-2.22
O7 0.6292 0.7801 0.0386  3 Co 2.01-2.16, 3 Li 2.07-2.22
O8 0.1106 0.9026 0.1239  2 Co 1.93, 3 Li 2.13-2.15
O9 0.8894 0.0973 0.8761  2 Co 1.93, 2 Li 2.15
O10 0.3969 0.2207 0.0145  2 Mn 1.96, 3 Li 2.16-2.17
O11 0.8894 0.3474 0.1261  2 Co 1.93, 3 Li 2.13-2.15
O12 0.3708 0.4699 0.2114  3 Co 2.01-2.16, 3 Li 2.07-2.22
O13 0.8770 0.5930 0.3470  6 Li 2.04-2.22
O14 0.3627 0.7233 0.4488  3 Co 1.99-2.06, 2 Li 2.15
O15 0.8877 0.8476 0.6229  2 Co 1.92
O16 0.3961 0.9707 0.7630  2 Mn 1.95, 2 Li 2.19

Stability order, top to bottom: *ii*, *iii*, *i*